Computed, not measured: DySnPd2 after structural relaxation at the meta-GGA r2SCAN level of DFT.

Summary:
The calculation puts the total DFT energy (no corrections) at -1.9521 Ry per atom. As for the space-group type: Fm-3m. The calculation puts the formation energy at -897.4 meV/atom. As for the crystal system: cubic.

Cell and atoms, written as POSCAR:
```
DySnPd2
1.0
0.0000 3.3735 3.3735
3.3735 0.0000 3.3735
3.3735 3.3735 0.0000
Sn Pd Dy
1 2 1
direct
0.5000 0.5000 0.5000 Sn
0.7500 0.7500 0.7500 Pd
0.2500 0.2500 0.2500 Pd
0.0000 0.0000 0.0000 Dy
```